Record 1
Cs2MnO4 (PBE+U, optimized geometry); V = 22.4 A^3/atom; DFT total energy = -5.493 eV per atom; total energy after the MP2020 corrections = -6.1243 eV per atom
1.0
6.4100 0.0000 0.0000
0.0000 8.5789 0.0000
0.0000 0.0000 11.3908
Cs Mn O
8 4 16
Cartesian
4.8075 5.7395 6.7054 Cs
1.6025 2.8395 4.6854 Cs
4.8075 1.4500 10.3808 Cs
1.6025 7.1289 1.0100 Cs
4.8075 8.4702 3.4914 Cs
1.6025 0.1087 7.8994 Cs
4.8075 4.1807 2.2040 Cs
1.6025 4.3982 9.1869 Cs
4.8075 2.0257 6.6114 Mn
1.6025 6.5533 4.7794 Mn
4.8075 6.3151 10.4748 Mn
1.6025 2.2638 0.9161 Mn
4.8075 0.3651 6.6611 O
1.6025 8.2139 4.7297 O
4.8075 4.6545 10.4252 O
1.6025 3.9244 0.9657 O
4.8075 2.5089 5.0106 O
1.6025 6.0701 6.3803 O
4.8075 6.7983 0.6848 O
1.6025 1.7806 10.7060 O
6.1632 2.6324 7.3713 O
2.9582 5.9465 4.0195 O
3.4518 6.9219 9.7150 O
0.2468 1.6570 1.6759 O
0.2468 5.9465 4.0195 O
3.4518 2.6324 7.3713 O
2.9582 1.6570 1.6759 O
6.1632 6.9219 9.7150 O

=====

Record 2
Li7Co5O12 (PBE+U, optimized geometry); V = 8.7 A^3/atom; DFT total energy = -5.516 eV per atom; total energy after the MP2020 corrections = -6.2010 eV per atom; magnetic moment = 0.4 μB per formula unit
1.0
-2.0987 1.9693 4.1132
-5.3933 1.6367 -1.4787
-4.1947 -5.9233 2.6272
Li Co O
7 5 12
Cartesian
-1.0493 0.9847 2.0566 Li
-4.7940 -2.1433 0.5743 Li
-5.1780 0.4000 -0.7537 Li
-5.6682 -2.4364 3.3105 Li
-6.0185 0.1191 1.9512 Li
-6.5086 -2.7173 6.0154 Li
-3.7460 1.8030 1.3173 Li
-7.0965 -3.8720 1.2459 Co
-4.5902 1.5548 4.0158 Co
-3.3623 -0.6612 2.6491 Co
-2.0973 -2.9616 1.3136 Co
-8.3244 -1.6561 2.6126 Co
-10.0374 -1.3639 3.6902 O
-4.1108 -0.2223 0.9402 O
-8.7100 -3.5367 2.1149 O
-5.0576 -0.3144 3.6995 O
-5.4338 2.1591 2.4834 O
-3.7676 -2.6893 2.3427 O
-1.6493 -0.9534 1.5714 O
-7.5759 -2.0950 4.3215 O
-7.9191 0.3720 2.9189 O
-6.2529 -4.4764 2.7783 O
-6.6291 -2.0029 1.5622 O
-2.9767 1.2194 3.1467 O

=====

Record 3
EuVO4 (PBE+U, optimized geometry); V = 14.8 A^3/atom; DFT total energy = -8.611 eV per atom; total energy after the MP2020 corrections = -9.3527 eV per atom
1.0
3.6977 3.6977 3.2441
-3.6977 -3.6977 3.2441
3.6977 -3.6977 -3.2441
Eu V O
2 2 8
Cartesian
0.0000 0.0000 3.2441 Eu
0.0000 -3.6977 1.6220 Eu
3.6977 0.0000 1.6220 V
0.0000 0.0000 0.0000 V
-2.3542 -3.6977 2.1367 O
3.6977 -1.3435 0.5146 O
0.0000 -2.3542 3.7587 O
2.3542 -3.6977 2.1367 O
0.0000 -6.0519 1.1074 O
2.3542 0.0000 2.7294 O
1.3435 -3.6977 -0.5146 O
0.0000 -1.3435 1.1074 O

=====

Record 4
LiCoPO4 (PBE+U, optimized geometry); V = 12.6 A^3/atom; DFT total energy = -6.631 eV per atom; total energy after the MP2020 corrections = -7.2575 eV per atom; magnetic moment = 3.0 μB per formula unit
1.0
5.3211 0.0000 0.0000
0.0000 8.0936 0.0000
0.0000 2.1536 8.1894
Li Co P O
4 4 4 16
Cartesian
4.5177 0.4138 0.5970 Li
3.5468 5.7301 6.3856 Li
0.8034 1.4906 4.6917 Li
1.7742 4.6534 2.2909 Li
1.7897 1.5220 1.6900 Co
3.5314 2.5988 5.7847 Co
4.3895 5.9688 3.1513 Co
0.9316 7.0456 7.2460 Co
4.4153 2.8030 2.7091 P
3.5737 6.1193 0.0754 P
1.7473 7.1961 4.1702 P
0.9058 3.8798 6.8038 P
4.2537 6.6919 1.3534 O
1.0673 7.7687 5.4482 O
3.1892 6.7254 4.5185 O
3.6480 4.1433 2.8171 O
1.5892 2.9822 5.7272 O
3.7318 1.9054 1.6325 O
3.6456 9.4781 7.2989 O
1.6754 8.4013 3.2042 O
2.1319 5.6486 0.4238 O
1.6731 5.2201 6.9118 O
4.3357 7.0489 7.6749 O
0.9454 3.1512 8.1832 O
4.7346 4.1130 6.4037 O
0.9854 5.9721 3.5802 O
4.3757 2.0744 4.0885 O
0.5865 3.0362 2.3090 O

=====

Record 5
MgFeBiO3 (PBE+U, optimized geometry); V = 16.2 A^3/atom; DFT total energy = -5.541 eV per atom; total energy after the MP2020 corrections = -6.2607 eV per atom; magnetic moment = 3.9 μB per formula unit
1.0
4.0349 0.0000 0.0000
0.0000 3.5894 0.0000
0.0000 0.0000 6.6941
Mg Fe Bi O
1 1 1 3
Cartesian
0.0000 1.7947 4.8680 Mg
2.0174 1.7947 2.9457 Fe
0.0000 0.0000 0.9118 Bi
0.0000 1.7947 2.8443 O
2.0174 0.0000 1.8854 O
2.0174 1.7947 5.0115 O

=====

Record 6
K2NiH12C4O14 (PBE+U, optimized geometry); V = 10.7 A^3/atom; DFT total energy = -5.806 eV per atom; total energy after the MP2020 corrections = -6.1742 eV per atom; magnetic moment = 2.0 μB per formula unit
1.0
6.8311 0.0000 0.0000
0.0000 8.7114 0.0000
0.0000 6.1610 11.8344
K Ni H C O
4 2 24 8 28
Cartesian
2.3567 3.5329 1.4297 K
5.7723 8.2590 4.4875 K
1.0588 6.6134 7.3470 K
4.4743 11.3395 10.4047 K
0.0000 0.0000 0.0000 Ni
3.4155 3.0805 5.9172 Ni
0.5841 12.2762 7.7731 H
4.8873 7.6024 1.3939 H
6.2266 4.6528 1.7519 H
2.8314 9.1957 1.8558 H
1.9438 7.2700 10.4406 H
5.3593 10.6829 7.3111 H
2.8111 7.1391 4.1653 H
4.0200 7.7333 7.6691 H
3.9997 5.6767 9.9786 H
2.7993 4.9719 4.1593 H
3.4761 8.3251 9.0521 H
6.7394 1.9384 2.7107 H
6.2149 6.8200 1.7579 H
3.3238 9.8534 3.2065 H
0.0917 12.9339 9.1237 H
0.6162 8.0523 10.0766 H
0.0606 9.6278 8.6996 H
6.2469 2.5962 4.0614 H
6.7705 5.2446 3.1348 H
3.3550 6.5473 2.7824 H
0.6044 10.2196 10.0826 H
1.4718 4.1895 4.5233 H
3.5072 5.0189 8.6280 H
4.0317 9.9005 7.6751 H
4.6451 7.8733 11.3091 C
4.7027 5.5668 6.4101 C
5.6015 4.7928 5.3918 C
1.2871 12.3861 11.3415 C
1.2296 10.0795 6.4426 C
2.1284 9.3056 5.4243 C
5.5439 2.4863 0.4929 C
2.1860 6.9991 0.5254 C
3.6452 4.9575 6.8012 O
3.1858 9.9149 5.0333 O
0.0353 1.9227 3.6870 O
3.4358 6.4643 3.7661 O
3.2246 6.4397 0.9737 O
1.7759 8.1504 5.0750 O
2.4214 4.0472 4.3118 O
5.0552 6.7220 6.7594 O
4.4096 10.8252 7.5226 O
1.6397 11.2309 10.9922 O
6.8108 9.5448 9.6834 O
0.1910 9.5202 6.8909 O
0.2297 12.9954 10.9505 O
0.0202 5.3276 2.1511 O
6.6014 1.8770 0.8840 O
0.9941 7.1277 10.2291 O
5.8370 7.7447 1.6054 O
1.7806 8.1660 0.8504 O
3.6065 8.4327 10.8608 O
5.1914 3.6415 0.8422 O
5.0504 6.7064 10.9841 O
1.6349 11.2465 6.7676 O
3.3802 5.0032 9.6042 O
6.6401 5.3522 4.9435 O
3.3953 8.4081 8.0683 O
5.1962 3.6259 5.0668 O
3.4509 9.8692 2.2302 O
6.7957 12.9497 8.1474 O

=====

Record 7
Bi2Te2W3O16 (PBE+U, optimized geometry); V = 14.4 A^3/atom; DFT total energy = -6.603 eV per atom; total energy after the MP2020 corrections = -7.6599 eV per atom; magnetic moment = 0.0 μB per formula unit
1.0
5.9350 2.2420 -9.2914
6.0437 7.0367 -6.3670
13.0825 -0.1200 -0.2898
Bi Te W O
4 4 6 32
Cartesian
14.3708 3.2751 -4.0939 Bi
7.7930 1.7262 -4.9303 Bi
17.2682 7.4325 -11.0179 Bi
10.6905 5.8836 -11.8543 Bi
18.1407 3.9636 -10.4606 Te
6.9205 5.1951 -5.4876 Te
13.3955 2.2133 -7.4145 Te
11.6658 6.9454 -8.5337 Te
10.5431 4.0670 -5.5914 W
14.5182 5.0916 -10.3568 W
8.0065 6.4571 -9.4157 W
15.8416 6.3278 -6.9619 W
17.0547 2.7016 -6.5325 W
9.2197 2.8309 -8.9864 W
16.9194 2.4825 -8.4468 O
12.7243 5.4868 -10.0813 O
14.6076 3.2857 -9.6777 O
19.1062 7.8761 -12.5282 O
12.5428 6.9623 -12.9773 O
14.7480 5.7392 -8.3176 O
10.0615 2.2092 -5.2263 O
16.6276 3.2424 -4.7044 O
14.6860 5.7349 -5.4852 O
12.3370 3.6719 -5.8669 O
10.0559 8.0881 -12.2538 O
16.8875 4.8176 -6.8862 O
15.0054 1.0706 -3.6944 O
14.9997 6.9495 -10.7219 O
5.9551 1.2826 -3.4200 O
5.7834 3.1878 -6.0538 O
8.4920 2.3581 -2.8009 O
10.1281 6.2742 -9.4549 O
8.1737 4.3411 -9.0620 O
12.5184 2.1964 -2.9710 O
10.4537 5.8730 -6.2705 O
19.2779 5.9709 -9.8944 O
10.3132 3.4195 -7.6306 O
8.4163 4.0187 -5.6933 O
8.4337 5.9162 -11.2438 O
16.6450 5.1400 -10.2550 O
17.0065 7.3310 -8.1883 O
8.1418 6.6762 -7.5015 O
14.9332 2.8845 -6.4934 O
16.5693 6.8006 -13.1474 O
10.3752 3.4237 -10.4631 O
8.0548 1.8277 -7.7599 O

=====

Record 8
MgMn2Cr2O8 (PBE+U, optimized geometry); V = 12.8 A^3/atom; DFT total energy = -6.935 eV per atom; total energy after the MP2020 corrections = -7.9214 eV per atom; magnetic moment = 12.0 μB per formula unit
1.0
3.7398 0.9090 -3.7017
-0.7910 -5.1497 1.1709
-4.2888 -0.1241 -4.7897
Mg Mn Cr O
1 2 2 8
Cartesian
-0.6700 -2.1824 -3.6603 Mg
-2.1444 -0.0621 -2.3949 Mn
0.0000 0.0000 0.0000 Mn
-1.1501 -1.1861 -5.8891 Cr
-0.1898 -3.1788 -1.4314 Cr
0.2811 -0.5676 -5.2578 O
-1.6210 -3.7972 -2.0627 O
2.6125 -0.5422 -2.5835 O
-3.9524 -3.8226 -4.7370 O
-0.8657 -2.9895 -5.5693 O
0.8944 -3.3433 -2.9257 O
-0.4742 -1.3753 -1.7512 O
-2.2343 -1.0216 -4.3948 O

=====

Record 9
LiTiV2CrO10 (PBE+U, optimized geometry); V = 15.5 A^3/atom; DFT total energy = -7.319 eV per atom; total energy after the MP2020 corrections = -8.1372 eV per atom; magnetic moment = 1.0 μB per formula unit
1.0
6.6525 0.0000 -0.1788
0.0000 6.5204 0.0000
-0.1054 0.0000 5.3506
Li Ti V Cr O
1 1 2 1 10
Cartesian
6.2600 1.6301 0.2910 Li
4.9226 1.6301 2.6799 Ti
1.5290 1.6301 3.1821 V
4.9895 4.8903 1.9721 V
1.6507 4.8903 2.6367 Cr
0.3103 4.8903 1.6444 O
1.2661 1.6301 1.5479 O
1.6094 3.5691 3.6313 O
1.6094 6.2115 3.6313 O
3.0530 4.8903 1.6907 O
3.4042 1.6301 3.5842 O
5.0792 0.1634 1.4985 O
5.0792 3.0968 1.4985 O
5.0594 4.8903 3.5857 O
6.3779 1.6301 3.7743 O

=====

Record 10
Ca2MnP2O10 (PBE+U, optimized geometry); V = 13.2 A^3/atom; DFT total energy = -6.883 eV per atom; total energy after the MP2020 corrections = -7.4519 eV per atom; magnetic moment = 1.0 μB per formula unit
1.0
-0.2405 4.7985 -2.0900
0.2808 0.4540 6.0731
6.5926 -1.3974 -0.1531
Ca Mn P O
2 1 2 10
Cartesian
4.8817 2.3565 0.9126 Ca
1.7512 1.4987 2.9174 Ca
0.0000 0.0000 0.0000 Mn
5.1932 1.0399 3.7451 P
1.4398 2.8153 0.0849 P
4.4957 1.0924 -0.9418 O
2.1373 2.7628 4.7718 O
4.0495 0.9823 2.7202 O
2.5835 2.8730 1.1098 O
6.2711 2.0237 3.1191 O
0.3619 1.8316 0.7109 O
5.9046 -0.3369 3.9118 O
0.7284 4.1921 -0.0818 O
4.8237 3.3761 -1.3109 O
1.8093 0.4791 5.1409 O

=====

Record 11
Fe3Si2O8 (PBE+U, optimized geometry); V = 15.2 A^3/atom; DFT total energy = -7.194 eV per atom; total energy after the MP2020 corrections = -8.1376 eV per atom; magnetic moment = 14.0 μB per formula unit
1.0
-4.3522 -0.2031 -2.7727
-2.4646 -7.2700 4.5860
-2.5823 10.7116 8.0733
Fe Si O
9 6 24
Cartesian
-0.1780 -0.0953 -0.0246 Fe
-6.4731 0.0324 5.3276 Fe
-6.1790 6.6625 5.6994 Fe
-6.1768 3.1458 5.8991 Fe
-2.6747 -3.8681 4.3499 Fe
-5.2964 6.7196 8.8593 Fe
-5.2692 3.2109 9.1181 Fe
-2.0891 3.7275 4.2747 Fe
-2.0266 0.1309 4.4854 Fe
-5.2690 -2.2921 -0.3994 Si
-4.5970 -5.7155 2.7131 Si
-7.6849 1.3945 7.9043 Si
-4.5036 1.7845 3.4145 Si
-3.8615 -1.6349 6.3543 Si
-3.7236 4.9603 6.8626 Si
-7.0075 -0.6315 3.5248 O
-5.5579 1.7314 2.0926 O
-3.5597 -2.4774 7.7102 O
-5.2558 -1.3222 0.9011 O
-7.8512 0.7250 6.4161 O
-5.4385 -7.1065 2.7185 O
-5.5502 -4.4019 2.6599 O
-5.5001 1.6495 4.7466 O
-3.6794 3.1731 3.4345 O
-6.4535 7.5274 7.4362 O
-6.3722 2.3618 7.7631 O
-3.5145 0.4862 3.4252 O
-5.2634 5.0206 6.2145 O
-5.1333 7.6699 4.5932 O
-5.3055 -0.9072 6.3764 O
-3.6974 -2.5015 4.9846 O
-3.5821 -5.6578 4.0774 O
-1.1558 -1.3569 0.9372 O
-2.0862 -3.2624 2.5872 O
-6.1387 5.0239 9.5157 O
-2.5386 4.7151 5.7971 O
-3.5259 6.3926 7.7090 O
-3.6778 3.7750 7.9819 O
-4.6502 2.6035 10.9475 O